1.
Entry from Materials Project: a relaxed Ba3LaY2Cu6O14 crystal (PBE).

## Properties
For the energy of formation, the calculation gives -2.278 eV/atom. Its density is 6.324 g/cm3. The total DFT energy (no corrections) is -6.428 eV per atom.

Cell: 7.638 7.870 23.307 Å, 90.00 90.00 90.00°
Space group Fmm2 (No. 42)
Asymmetric unit:
Ba: 0.000 0.000 0.000 x4
Ba: 0.000 0.000 0.185 x4
Ba: 0.000 0.000 0.502 x4
La: 0.000 0.000 0.683 x4
Y: 0.000 0.000 0.342 x4
Y: 0.000 0.000 0.841 x4
Cu: 0.250 0.250 0.094 x8
Cu: 0.250 0.250 0.270 x8
Cu: 0.250 0.250 0.414 x8
O: 0.000 0.245 0.778 x8
O: 0.000 0.249 0.401 x8
O: 0.214 0.000 0.601 x8
O: 0.247 0.000 0.778 x8
O: 0.250 0.000 0.403 x8
O: 0.250 0.250 0.014 x8
O: 0.250 0.250 0.175 x8

2.
Entry from Materials Project: a relaxed BaAlSi5N7O2 crystal (PBE).

## Properties
For the energy of formation, the calculation gives -0.917 eV/atom. Its density is 3.590 g/cm3. The total DFT energy (no corrections) is -7.146 eV per atom.

Cell: 6.448 6.792 9.494 Å, 90.00 104.63 90.00°
Space group Pc (No. 7)
Asymmetric unit:
Ba: 0.000 0.168 0.000 x2
Al: 0.814 0.463 0.680 x2
Si: 0.275 0.313 0.368 x2
Si: 0.336 0.334 0.733 x2
Si: 0.389 0.047 0.866 x2
Si: 0.626 0.288 0.342 x2
Si: 0.663 0.007 0.164 x2
N: 0.136 0.494 0.767 x2
N: 0.299 0.236 0.554 x2
N: 0.400 0.032 0.549 x2
N: 0.635 0.010 0.342 x2
N: 0.715 0.265 0.175 x2
N: 0.795 0.328 0.514 x2
N: 0.841 0.170 0.634 x2
O: 0.173 0.097 0.291 x2
O: 0.597 0.428 0.785 x2

3.
Entry from Materials Project: a relaxed Eu2GeS4 crystal (PBE).

## Properties
For the energy of formation, the calculation gives -1.659 eV/atom. Its density is 4.756 g/cm3. The total DFT energy (no corrections) is -7.327 eV per atom.

Cell: 6.705 6.859 8.048 Å, 90.00 107.77 90.00°
Space group P2_1 (No. 4)
Asymmetric unit:
Eu: 0.219 0.000 0.053 x2
Eu: 0.256 0.984 0.564 x2
Ge: 0.236 0.528 0.805 x2
S: 0.010 0.262 0.261 x2
S: 0.031 0.263 0.750 x2
S: 0.420 0.579 0.085 x2
S: 0.431 0.569 0.624 x2

4.
Entry from Materials Project: a relaxed Mg2MnGa3 crystal (PBE).

## Properties
For the energy of formation, the calculation gives -0.164 eV/atom. Its density is 5.135 g/cm3. The total DFT energy (no corrections) is -3.739 eV per atom.

Cell: 5.440 8.659 8.588 Å, 90.00 90.00 90.00°
Space group Cmcm (No. 63)
Asymmetric unit:
Mg: 0.000 0.173 0.066 x8
Mn: 0.000 0.342 0.750 x4
Ga: 0.000 0.500 0.000 x4
Ga: 0.237 0.091 0.750 x8

5.
Entry from Materials Project: a relaxed BiRu5C18O18 crystal (PBE).

## Properties
For the energy of formation, the calculation gives -0.903 eV/atom. Its density is 2.426 g/cm3. The total DFT energy (no corrections) is -7.881 eV per atom.

Cell: 11.664 16.830 18.006 Å, 73.40 89.62 80.30°
Space group P-1 (No. 2)
Asymmetric unit:
Bi: 0.003 0.234 0.247 x2
Bi: 0.387 0.213 0.757 x2
Ru: 0.093 0.788 0.884 x2
Ru: 0.167 0.301 0.781 x2
Ru: 0.180 0.317 0.282 x2
Ru: 0.192 0.127 0.343 x2
Ru: 0.229 0.781 0.736 x2
Ru: 0.243 0.113 0.856 x2
Ru: 0.280 0.646 0.885 x2
Ru: 0.376 0.798 0.228 x2
Ru: 0.396 0.669 0.379 x2
Ru: 0.499 0.181 0.629 x2
C: 0.006 0.716 0.951 x2
C: 0.013 0.109 0.135 x2
C: 0.022 0.294 0.832 x2
C: 0.095 0.328 0.373 x2
C: 0.102 0.140 0.432 x2
C: 0.104 0.096 0.913 x2
C: 0.110 0.275 0.690 x2
C: 0.137 0.435 0.235 x2
C: 0.141 0.022 0.354 x2
C: 0.150 0.416 0.721 x2
C: 0.166 0.590 0.853 x2
C: 0.180 0.091 0.766 x2
C: 0.186 0.813 0.959 x2
C: 0.187 0.881 0.652 x2
C: 0.212 0.815 0.244 x2
C: 0.244 0.330 0.863 x2
C: 0.247 0.305 0.185 x2
C: 0.258 0.708 0.675 x2
C: 0.260 0.731 0.412 x2
C: 0.271 0.116 0.250 x2
C: 0.275 0.576 0.989 x2
C: 0.304 0.593 0.358 x2
C: 0.315 0.141 0.941 x2
C: 0.331 0.308 0.331 x2
C: 0.337 0.102 0.404 x2
C: 0.347 0.009 0.877 x2
C: 0.369 0.894 0.141 x2
C: 0.376 0.247 0.562 x2
C: 0.379 0.719 0.174 x2
C: 0.384 0.797 0.752 x2
C: 0.385 0.709 0.918 x2
C: 0.398 0.844 0.448 x2
C: 0.406 0.583 0.844 x2
C: 0.445 0.076 0.654 x2
C: 0.455 0.615 0.483 x2
C: 0.476 0.389 0.666 x2
O: 0.021 0.085 0.948 x2
O: 0.042 0.338 0.425 x2
O: 0.048 0.328 0.006 x2
O: 0.051 0.143 0.486 x2
O: 0.067 0.708 0.139 x2
O: 0.076 0.044 0.145 x2
O: 0.076 0.265 0.634 x2
O: 0.106 0.546 0.841 x2
O: 0.111 0.826 0.245 x2
O: 0.112 0.958 0.360 x2
O: 0.114 0.507 0.208 x2
O: 0.135 0.486 0.686 x2
O: 0.145 0.072 0.714 x2
O: 0.164 0.941 0.600 x2
O: 0.175 0.760 0.436 x2
O: 0.230 0.834 0.006 x2
O: 0.249 0.546 0.346 x2
O: 0.272 0.530 0.051 x2
O: 0.278 0.663 0.636 x2
O: 0.285 0.303 0.126 x2
O: 0.289 0.352 0.909 x2
O: 0.300 0.286 0.518 x2
O: 0.318 0.104 0.196 x2
O: 0.344 0.861 0.498 x2
O: 0.358 0.154 0.993 x2
O: 0.360 0.953 0.087 x2
O: 0.379 0.669 0.140 x2
O: 0.407 0.433 0.690 x2
O: 0.410 0.945 0.889 x2
O: 0.414 0.011 0.669 x2
O: 0.421 0.086 0.443 x2
O: 0.421 0.305 0.358 x2
O: 0.453 0.739 0.943 x2
O: 0.480 0.807 0.753 x2
O: 0.482 0.545 0.820 x2
O: 0.492 0.580 0.546 x2

6.
Entry from Materials Project: a relaxed RbLiH4N2 crystal (PBE).

## Properties
For the energy of formation, the calculation gives -0.517 eV/atom. Its density is 2.306 g/cm3. The total DFT energy (no corrections) is -4.569 eV per atom.

Cell: 7.882 3.878 11.726 Å, 90.00 90.00 90.00°
Space group Pnma (No. 62)
Asymmetric unit:
Rb: 0.125 0.250 0.241 x4
Li: 0.113 0.750 0.002 x4
H: 0.105 0.045 0.574 x8
H: 0.125 0.250 0.825 x4
H: 0.242 0.250 0.938 x4
N: 0.117 0.250 0.912 x4
N: 0.166 0.250 0.612 x4

7.
Entry from Materials Project: a relaxed ErSeI crystal (PBE).

## Properties
For the energy of formation, the calculation gives -1.812 eV/atom. Its density is 5.349 g/cm3. The total DFT energy (no corrections) is -4.881 eV per atom.

Cell: 4.203 5.613 9.820 Å, 90.00 90.00 90.00°
Space group Pmmn (No. 59, origin choice 2)
Asymmetric unit:
Er: 0.250 0.250 0.116 x2
Se: 0.250 0.750 0.079 x2
I: 0.250 0.750 0.661 x2

8.
Entry from Materials Project: a relaxed H5W crystal (PBE).

## Properties
For the energy of formation, the calculation gives 0.350 eV/atom. Its density is 9.252 g/cm3. The total DFT energy (no corrections) is -4.636 eV per atom.

Cell: 6.142 3.591 3.074 Å, 90.00 90.00 90.00°
Space group Pma2 (No. 28)
Asymmetric unit:
H: 0.073 0.227 0.000 x4
H: 0.104 0.795 0.492 x4
H: 0.250 0.337 0.481 x2
W: 0.250 0.633 0.024 x2

9.
Entry from Materials Project: a relaxed Cu crystal (PBE).

## Properties
For the energy of formation, the calculation gives 0.000 eV/atom. Its density is 8.888 g/cm3. The total DFT energy (no corrections) is -4.099 eV per atom.

Cell: 3.621 3.621 3.621 Å, 90.00 90.00 90.00°
Space group Fm-3m (No. 225)
Asymmetric unit:
Cu: 0.000 0.000 0.000 x4

10.
Entry from Materials Project: a relaxed Cu3PSe2S2 crystal (PBE).

## Properties
For the energy of formation, the calculation gives -0.311 eV/atom. Its density is 4.819 g/cm3. The total DFT energy (no corrections) is -4.307 eV per atom.

Cell: 7.418 6.557 6.286 Å, 90.00 90.00 90.00°
Space group Pmn2_1 (No. 31)
Asymmetric unit:
Cu: 0.000 0.167 0.000 x2
Cu: 0.246 0.341 0.460 x4
P: 0.000 0.817 0.493 x2
Se: 0.000 0.142 0.613 x2
Se: 0.000 0.820 0.131 x2
S: 0.236 0.662 0.601 x4

11.
Entry from Materials Project: a relaxed Ba2UPbO6 crystal (PBE).

## Properties
For the energy of formation, the calculation gives -3.041 eV/atom. Its density is 7.324 g/cm3. The total DFT energy (no corrections) is -7.482 eV per atom.

Cell: 9.045 9.045 9.045 Å, 90.00 90.00 90.00°
Space group Fm-3m (No. 225)
Asymmetric unit:
Ba: 0.250 0.250 0.250 x8
U: 0.000 0.000 0.000 x4
Pb: 0.000 0.000 0.500 x4
O: 0.000 0.000 0.231 x24

Number 5 is which compound?
BiRu5C18O18

Which of these has the highest energy of formation?
H5W

total DFT energy (no corrections) of number 6 (RbLiH4N2)?
-4.569 eV per atom